No. 1
This record from the Materials Project database describes a relaxed Si2Pd9 crystal. The functional is r²SCAN.

Cell and atoms, written as CIF:
```
data_Si2Pd9
_cell_length_a 7.4680
_cell_length_b 9.0831
_cell_length_c 9.4709
_cell_angle_alpha 90.00
_cell_angle_beta 90.00
_cell_angle_gamma 90.00
_space_group_name_H-M_alt 'P 1'
_space_group_IT_number 1
loop_
_space_group_symop_operation_xyz
'x,y,z'
loop_
_atom_site_label
_atom_site_fract_x
_atom_site_fract_y
_atom_site_fract_z
Pd1 0.7500 0.0596 0.4695
Pd2 0.4412 0.1824 0.6222
Pd3 0.7500 0.5596 0.0305
Pd4 0.0588 0.1824 0.6222
Pd5 0.4431 0.8876 0.0944
Pd6 0.5569 0.6124 0.5944
Pd7 0.0588 0.6824 0.8778
Pd8 0.5660 0.8982 0.6812
Pd9 0.5569 0.1124 0.9056
Pd10 0.2500 0.4489 0.6639
Pd11 0.4431 0.3876 0.4056
Pd12 0.9412 0.3176 0.1222
Pd13 0.0660 0.6018 0.1812
Pd14 0.2500 0.1489 0.0673
Pd15 0.4340 0.6018 0.1812
Pd16 0.0660 0.1018 0.3188
Pd17 0.5588 0.8176 0.3778
Pd18 0.9340 0.8982 0.6812
Pd19 0.7500 0.8511 0.9327
Pd20 0.9431 0.6124 0.5944
Pd21 0.2500 0.6489 0.4327
Pd22 0.9340 0.3982 0.8188
Pd23 0.4412 0.6824 0.8778
Pd24 0.9431 0.1124 0.9056
Pd25 0.0569 0.8876 0.0944
Pd26 0.9412 0.8176 0.3778
Pd27 0.0569 0.3876 0.4056
Pd28 0.7500 0.0511 0.1639
Pd29 0.5660 0.3982 0.8188
Pd30 0.7500 0.5511 0.3361
Pd31 0.2500 0.9404 0.5305
Pd32 0.2500 0.4404 0.9695
Pd33 0.7500 0.3511 0.5673
Pd34 0.2500 0.9489 0.8361
Pd35 0.4340 0.1018 0.3188
Pd36 0.5588 0.3176 0.1222
Si1 0.7500 0.1305 0.7112
Si2 0.2500 0.8695 0.2888
Si3 0.2500 0.7267 0.6788
Si4 0.7500 0.6305 0.7888
Si5 0.2500 0.3695 0.2112
Si6 0.2500 0.2267 0.8212
Si7 0.7500 0.7733 0.1788
Si8 0.7500 0.2733 0.3212
```

***

No. 2
This record from the Materials Project database describes a relaxed Cd5Mo2P8O28 crystal. The functional is r²SCAN.

Cell and atoms, written as CIF:
```
data_Cd5Mo2P8O28
_cell_length_a 6.6912
_cell_length_b 6.6912
_cell_length_c 24.4435
_cell_angle_alpha 84.72
_cell_angle_beta 84.72
_cell_angle_gamma 96.78
_space_group_name_H-M_alt 'P 1'
_space_group_IT_number 1
loop_
_space_group_symop_operation_xyz
'x,y,z'
loop_
_atom_site_label
_atom_site_fract_x
_atom_site_fract_y
_atom_site_fract_z
P1 0.3071 0.2041 0.2311
P2 0.2332 0.8238 0.4929
P3 0.1762 0.7668 0.0071
P4 0.8066 0.0829 0.1128
P5 0.9171 0.1934 0.3872
P6 0.6180 0.5233 0.8737
P7 0.1934 0.9171 0.8872
P8 0.4767 0.3820 0.6263
P9 0.7668 0.1762 0.5071
P10 0.5233 0.6180 0.3737
P11 0.0829 0.8066 0.6128
P12 0.2041 0.3071 0.7311
P13 0.8238 0.2332 0.9929
P14 0.7959 0.6929 0.2689
P15 0.3820 0.4767 0.1263
P16 0.6929 0.7959 0.7689
O1 0.1174 0.2620 0.2580
O2 0.8968 0.1860 0.0520
O3 0.6350 0.3444 0.5031
O4 0.3650 0.6556 0.4969
O5 0.5645 0.5890 0.5988
O6 0.2409 0.6424 0.1292
O7 0.9832 0.5978 0.6059
O8 0.6051 0.5885 0.3129
O9 0.2892 0.2958 0.0980
O10 0.7380 0.8826 0.2420
O11 0.4625 0.1827 0.2718
O12 0.8173 0.5375 0.2282
O13 0.7415 0.0323 0.9718
O14 0.1827 0.4625 0.7718
O15 0.7591 0.3576 0.8708
O16 0.0448 0.0687 0.8746
O17 0.4022 0.0168 0.8941
O18 0.4355 0.4110 0.4012
O19 0.1860 0.8968 0.5520
O20 0.9825 0.6663 0.0401
O21 0.4115 0.3949 0.1871
O22 0.7042 0.7108 0.4020
O23 0.0175 0.3337 0.9599
O24 0.1806 0.7531 0.8493
O25 0.2958 0.2892 0.5980
O26 0.6663 0.9825 0.5401
O27 0.7167 0.9770 0.8022
O28 0.9770 0.7167 0.3022
O29 0.5885 0.6051 0.8129
O30 0.3576 0.7591 0.3708
O31 0.2620 0.1174 0.7580
O32 0.0168 0.4022 0.3941
O33 0.1032 0.8140 0.9480
O34 0.2585 0.9677 0.0282
O35 0.3949 0.4115 0.6871
O36 0.3444 0.6350 0.0031
O37 0.3337 0.0175 0.4599
O38 0.9552 0.9313 0.1254
O39 0.4110 0.4355 0.9012
O40 0.8194 0.2469 0.1507
O41 0.0687 0.0448 0.3746
O42 0.2469 0.8194 0.6507
O43 0.0230 0.2833 0.6978
O44 0.2833 0.0230 0.1978
O45 0.6424 0.2409 0.6292
O46 0.7531 0.1806 0.3493
O47 0.0323 0.7415 0.4718
O48 0.7108 0.7042 0.9020
O49 0.5375 0.8173 0.7282
O50 0.5978 0.9832 0.1059
O51 0.5890 0.5645 0.0988
O52 0.8140 0.1032 0.4480
O53 0.6556 0.3650 0.9969
O54 0.9677 0.2585 0.5282
O55 0.9313 0.9552 0.6254
O56 0.8826 0.7380 0.7420
Cd1 0.7024 0.6817 0.5079
Cd2 0.4151 0.1152 0.3632
Cd3 0.8848 0.5849 0.1368
Cd4 0.1152 0.4151 0.8632
Cd5 0.5849 0.8848 0.6368
Cd6 0.2976 0.3183 0.4921
Cd7 0.6817 0.7024 0.0079
Cd8 0.7986 0.2014 0.2500
Cd9 0.3183 0.2976 0.9921
Cd10 0.2014 0.7986 0.7500
Mo1 0.2807 0.9760 0.1172
Mo2 0.9760 0.2807 0.6172
Mo3 0.0240 0.7193 0.3828
Mo4 0.7193 0.0240 0.8828
```

***

No. 3
This record from the Materials Project database describes a relaxed BaGePt crystal. The functional is r²SCAN.

Cell and atoms, written as CIF:
```
data_BaGePt
_cell_length_a 6.8051
_cell_length_b 6.8051
_cell_length_c 6.8051
_cell_angle_alpha 90.00
_cell_angle_beta 90.00
_cell_angle_gamma 90.00
_space_group_name_H-M_alt 'P 1'
_space_group_IT_number 1
loop_
_space_group_symop_operation_xyz
'x,y,z'
loop_
_atom_site_label
_atom_site_fract_x
_atom_site_fract_y
_atom_site_fract_z
Pt1 0.0906 0.5906 0.9094
Pt2 0.5906 0.9094 0.0906
Pt3 0.4094 0.4094 0.4094
Pt4 0.9094 0.0906 0.5906
Ge1 0.1565 0.3435 0.6565
Ge2 0.6565 0.1565 0.3435
Ge3 0.8435 0.8435 0.8435
Ge4 0.3435 0.6565 0.1565
Ba1 0.3637 0.8637 0.6363
Ba2 0.6363 0.3637 0.8637
Ba3 0.8637 0.6363 0.3637
Ba4 0.1363 0.1363 0.1363
```

***

Formation energy from the elements, respectively: -446 -2165 -986 meV per atom.
Volume, respectively: 642 1076 315 Å³ per cell.
Total magnetization, respectively: 0.00 12.00 0.00 μB/cell.